A relaxed Li4Mn3Fe2Sb3O16 crystal, computed with PBE with a Hubbard U.

Cell and atoms, written as POSCAR:
```
Li4Mn3Fe2Sb3O16
1.0
5.4830 -3.0283 0.0000
5.4830 3.0283 0.0000
-0.4117 0.0000 9.8258
Li Mn Fe Sb O
4 3 2 3 16
Direct
0.0000 0.0000 0.0000 Li
0.0125 0.0125 0.5141 Li
0.3389 0.3389 0.6222 Li
0.6765 0.6765 0.1043 Li
0.1688 0.1688 0.2899 Mn
0.3410 0.8317 0.7906 Mn
0.8317 0.3410 0.7906 Mn
0.3233 0.3233 0.0014 Fe
0.6572 0.6572 0.5186 Fe
0.1685 0.6644 0.2859 Sb
0.6644 0.1685 0.2859 Sb
0.8279 0.8279 0.7869 Sb
0.0427 0.4986 0.1597 O
0.1448 0.6646 0.9091 O
0.1569 0.1569 0.9051 O
0.3125 0.8229 0.4021 O
0.3461 0.3461 0.4013 O
0.4833 0.4833 0.1649 O
0.4986 0.0427 0.1597 O
0.5223 0.5223 0.6803 O
0.5227 0.9736 0.6650 O
0.6646 0.1448 0.9091 O
0.6696 0.6696 0.8971 O
0.8229 0.3125 0.4021 O
0.8442 0.8442 0.3967 O
0.9736 0.5227 0.6650 O
0.9903 0.9903 0.1828 O
0.9953 0.9953 0.6998 O
```

Properties
SG   No. 8
Formation energy   -55.699 eV/f.u.
MP2020-corrected energy   -7.12 eV per atom
Crystal system   monoclinic
Calculated total energy   -6.386 eV per atom
Magnetic moment   22.0 μB/f.u.